Arrangement A

First-principles (GGA-PBE) data for a relaxed TeMoWSeS2 crystal, as listed in the Materials Project.

Geometry as extended XYZ:
```
12
Lattice="3.3082 0.0000 0.0000 -1.6541 2.8650 0.0000 0.0000 0.0000 37.6946" Properties=species:S:1:pos:R:3 pbc="T T T"
Te 0.0000 0.0000 0.0000
Te 0.0000 0.0000 3.8506
Mo 0.0000 0.0000 32.5378
Mo 0.0000 1.9100 16.0892
W 0.0000 0.0000 9.0088
W 0.0000 1.9100 1.9256
Se 0.0000 0.0000 14.4079
Se 0.0000 0.0000 17.7709
S 0.0000 1.9100 7.4744
S 0.0000 1.9100 10.5424
S 0.0000 1.9100 31.0103
S 0.0000 1.9100 34.0660
```

Summary:
ρ (g/cm³): 5.1


Arrangement B

First-principles (GGA-PBE) data for a relaxed TeMoWSeS2 crystal, as listed in the Materials Project.

Geometry as extended XYZ:
```
12
Lattice="3.3065 0.0000 0.0000 -1.6532 2.8635 0.0000 0.0000 0.0000 37.6077" Properties=species:S:1:pos:R:3 pbc="T T T"
Te 0.0000 0.0000 0.0000
Te 0.0000 0.0000 3.8236
Mo 1.6532 0.9545 1.9117
Mo 1.6532 0.9545 16.0428
W 0.0000 0.0000 8.9791
W 0.0000 0.0000 23.1086
Se 1.6532 0.9545 21.4201
Se 1.6532 0.9545 24.7952
S 0.0000 0.0000 14.5135
S 0.0000 0.0000 17.5717
S 1.6532 0.9545 7.4450
S 1.6532 0.9545 10.5121
```

Summary:
ρ (g/cm³): 5.1


It comes down to arrangement B, which is 2.0 kJ/mol of atoms more stable than the next structure.


Arrangement A

First-principles (GGA-PBE) data for a relaxed TeMoWSeS2 crystal, as listed in the Materials Project.

Geometry as extended XYZ:
```
12
Lattice="3.3044 0.0000 0.0000 -1.6522 2.8617 0.0000 0.0000 0.0000 39.1175" Properties=species:S:1:pos:R:3 pbc="T T T"
Te 0.0000 0.0000 0.0000
Te 0.0000 0.0000 3.8488
Mo 0.0000 0.0000 9.3551
Mo 0.0000 0.0000 33.7042
W 0.0000 1.9078 1.9261
W 0.0000 1.9078 16.6664
Se 0.0000 1.9078 7.6729
Se 0.0000 1.9078 11.0335
S 0.0000 0.0000 15.1316
S 0.0000 0.0000 18.2004
S 0.0000 1.9078 32.1780
S 0.0000 1.9078 35.2336
```

Summary:
ρ (g/cm³): 4.9


Arrangement B

First-principles (GGA-PBE) data for a relaxed TeMoWSeS2 crystal, as listed in the Materials Project.

Geometry as extended XYZ:
```
12
Lattice="3.3060 0.0000 0.0000 -1.6530 2.8630 0.0000 0.0000 0.0000 37.6579" Properties=species:S:1:pos:R:3 pbc="T T T"
Te 0.0000 0.0000 0.0000
Te 0.0000 0.0000 3.8283
Mo 0.0000 0.0000 8.9892
Mo 0.0000 1.9087 1.9136
W 0.0000 0.0000 32.4951
W 0.0000 1.9087 16.0633
Se 0.0000 0.0000 14.3719
Se 0.0000 0.0000 17.7545
S 0.0000 1.9087 7.4618
S 0.0000 1.9087 10.5160
S 0.0000 1.9087 30.9609
S 0.0000 1.9087 34.0298
```

Summary:
ρ (g/cm³): 5.1


It comes down to arrangement B, which is 2.0 kJ/mol of atoms more stable than the next structure.